ZrFe12Si2B | PBE-GGA | optimized geometry

CIF file:
```
data_ZrFe12Si2B
_chemical_formula_sum 'Zr8 Fe96 Si16 B8'
_cell_length_a 11.461
_cell_length_b 11.461
_cell_length_c 11.461
_cell_angle_alpha 90.00
_cell_angle_beta 90.00
_cell_angle_gamma 90.00
_symmetry_space_group_name_H-M 'I -4 3 m'
_symmetry_Int_Tables_number 217
_symmetry_space_group_name_Hall 'I -4 2 3'
loop_
_atom_site_label
_atom_site_type_symbol
_atom_site_fract_x
_atom_site_fract_y
_atom_site_fract_z
Zr1 Zr 0.000 0.000 0.000
Zr2 Zr 0.000 0.000 0.500
Fe1 Fe 0.000 0.000 0.231
Fe2 Fe 0.000 0.250 0.500
Fe3 Fe 0.008 0.246 0.246
Fe4 Fe 0.127 0.372 0.628
Fe5 Fe 0.129 0.129 0.637
Si1 Si 0.139 0.139 0.861
Si2 Si 0.237 0.237 0.237
B1 B 0.131 0.131 0.131
```

total magnetic moment: 24.81 μB per formula unit
formation energy from the elements: -0.02 eV/atom